1.
The following is a PBE with a Hubbard U calculation of LiCr2P3O12 after structural relaxation, from Materials Project. Values from VASP.

formation energy from the elements: -2.425 eV/atom
E_tot: -7.12 eV/atom
symmetry: C2/m, No. 12
crystal system: monoclinic
V: 11.11 A^3/atom
energy above the lowest structure with this stoichiometry: 0.76 eV/f.u.

The structure in Quantum ESPRESSO input format:
```
&SYSTEM
  ibrav = 0, nat = 36, ntyp = 4
/
ATOMIC_SPECIES
P 30.97 P.upf
O 16.00 O.upf
Cr 52.00 Cr.upf
Li 6.94 Li.upf
CELL_PARAMETERS angstrom
2.619 3.990 0.000
-2.619 3.990 0.000
0.000 0.283 19.131
ATOMIC_POSITIONS crystal
P 0.650 0.650 0.255
P 0.647 0.647 0.921
P 0.349 0.349 0.417
P 0.353 0.353 0.079
P 0.651 0.651 0.583
P 0.350 0.350 0.745
O 0.707 0.224 0.074
O 0.260 0.260 0.150
O 0.766 0.766 0.985
O 0.754 0.754 0.649
O 0.293 0.776 0.926
O 0.233 0.233 0.680
O 0.244 0.244 0.485
O 0.778 0.289 0.583
O 0.223 0.704 0.740
O 0.742 0.742 0.184
O 0.289 0.778 0.583
O 0.777 0.296 0.260
O 0.704 0.223 0.740
O 0.776 0.293 0.926
O 0.711 0.222 0.417
O 0.740 0.740 0.850
O 0.222 0.711 0.417
O 0.296 0.777 0.260
O 0.234 0.234 0.015
O 0.246 0.246 0.351
O 0.756 0.756 0.515
O 0.258 0.258 0.816
O 0.224 0.707 0.074
O 0.767 0.767 0.320
Cr 0.000 0.000 0.000
Cr 0.005 0.005 0.333
Cr 0.995 0.995 0.667
Cr 0.000 0.000 0.500
Li 0.000 0.000 0.835
Li 0.000 0.000 0.165
```



2.
The following is a PBE with a Hubbard U calculation of MnCd4O5 after structural relaxation, from Materials Project. Values from VASP.

formation energy from the elements: -1.479 eV/atom
E_tot: -4.73 eV/atom
V: 13.21 A^3/atom
energy above the lowest structure with this stoichiometry: 0.00 eV/f.u.

The structure in Quantum ESPRESSO input format:
```
&SYSTEM
  ibrav = 0, nat = 40, ntyp = 3
/
ATOMIC_SPECIES
Cd 112.41 Cd.upf
O 16.00 O.upf
Mn 54.94 Mn.upf
CELL_PARAMETERS angstrom
-1.876 -2.722 0.434
-10.125 7.816 5.262
-3.196 0.431 -11.117
ATOMIC_POSITIONS crystal
Cd 0.000 0.806 0.801
Cd 0.500 0.602 0.350
Cd 0.000 0.806 0.301
Cd 0.500 0.194 0.449
Cd 0.000 0.398 0.400
Cd 0.000 0.398 0.900
Cd 0.500 0.806 0.052
Cd 0.000 0.193 0.698
Cd 0.500 0.807 0.552
Cd 0.000 0.602 0.100
Cd 0.000 0.602 0.600
Cd 0.500 0.398 0.650
Cd 0.000 0.193 0.198
Cd 0.500 0.194 0.949
Cd 0.500 0.602 0.850
Cd 0.500 0.398 0.150
O 0.000 0.088 0.847
O 0.000 0.705 0.451
O 0.000 0.500 0.750
O 0.500 0.088 0.597
O 0.000 0.295 0.049
O 0.500 0.500 0.000
O 0.500 0.705 0.701
O 0.000 0.295 0.549
O 0.000 0.705 0.951
O 0.500 0.295 0.799
O 0.000 0.912 0.654
O 0.500 0.088 0.097
O 0.000 0.500 0.250
O 0.000 0.912 0.153
O 0.500 0.911 0.903
O 0.500 0.705 0.201
O 0.500 0.295 0.299
O 0.500 0.911 0.403
O 0.000 0.088 0.347
O 0.500 0.500 0.500
Mn 0.500 0.000 0.251
Mn 0.500 0.000 0.750
Mn 0.000 0.000 0.499
Mn 0.000 0.000 0.000
```



3.
The following is a PBE with a Hubbard U calculation of CaCr4O8 after structural relaxation, from Materials Project. Values from VASP.

formation energy from the elements: -2.350 eV/atom
E_tot: -7.48 eV/atom
symmetry: R-3m, No. 166
crystal system: trigonal
V: 12.97 A^3/atom
energy above the lowest structure with this stoichiometry: 0.00 eV/f.u.

The structure in Quantum ESPRESSO input format:
```
&SYSTEM
  ibrav = 0, nat = 13, ntyp = 3
/
ATOMIC_SPECIES
Cr 52.00 Cr.upf
O 16.00 O.upf
Ca 40.08 Ca.upf
CELL_PARAMETERS angstrom
5.232 -0.038 3.944
1.945 4.858 3.944
-0.057 -0.038 6.552
ATOMIC_POSITIONS crystal
Cr 0.000 0.000 0.000
Cr 0.500 0.000 0.500
Cr 0.000 0.500 0.500
Cr 0.500 0.500 0.000
O 0.281 0.766 0.766
O 0.723 0.723 0.723
O 0.277 0.277 0.277
O 0.234 0.719 0.234
O 0.766 0.281 0.766
O 0.719 0.234 0.234
O 0.766 0.766 0.281
O 0.234 0.234 0.719
Ca 0.500 0.500 0.500
```



4.
The following is a PBE with a Hubbard U calculation of KLiW3O9 after structural relaxation, from Materials Project. Values from VASP.

formation energy from the elements: -2.194 eV/atom
E_tot: -6.97 eV/atom
symmetry: P1, No. 1
crystal system: triclinic
V: 14.19 A^3/atom
energy above the lowest structure with this stoichiometry: 0.23 eV/f.u.

The structure in Quantum ESPRESSO input format:
```
&SYSTEM
  ibrav = 0, nat = 28, ntyp = 4
/
ATOMIC_SPECIES
K 39.10 K.upf
W 183.84 W.upf
O 16.00 O.upf
Li 6.94 Li.upf
CELL_PARAMETERS angstrom
-3.556 0.549 -6.675
4.979 -5.674 1.236
-5.890 -4.528 2.741
ATOMIC_POSITIONS crystal
K 0.003 0.996 0.768
K 0.008 0.004 0.269
W 0.498 0.000 0.500
W 0.005 0.502 0.498
W 0.499 0.000 0.000
W 0.501 0.496 0.998
W 0.005 0.503 0.002
W 0.503 0.498 0.502
O 0.420 0.204 0.508
O 0.420 0.214 0.991
O 0.789 0.577 0.504
O 0.784 0.576 0.995
O 0.574 0.782 0.013
O 0.002 0.502 0.750
O 0.500 0.496 0.246
O 0.212 0.792 0.006
O 0.214 0.423 0.496
O 0.504 0.503 0.754
O 0.500 0.997 0.746
O 0.216 0.795 0.493
O 0.574 0.791 0.487
O 0.217 0.423 0.004
O 0.002 0.499 0.250
O 0.785 0.213 0.988
O 0.782 0.209 0.511
O 0.501 0.003 0.254
Li 0.407 0.701 0.250
Li 0.701 0.303 0.749
```



5.
The following is a PBE with a Hubbard U calculation of Rb2NaNiF6 after structural relaxation, from Materials Project. Values from VASP.

formation energy from the elements: -2.608 eV/atom
E_tot: -4.13 eV/atom
symmetry: Fm-3m, No. 225
crystal system: cubic
V: 15.46 A^3/atom

The structure in Quantum ESPRESSO input format:
```
&SYSTEM
  ibrav = 0, nat = 10, ntyp = 4
/
ATOMIC_SPECIES
Ni 58.69 Ni.upf
Rb 85.47 Rb.upf
F 19.00 F.upf
Na 22.99 Na.upf
CELL_PARAMETERS angstrom
0.000 4.259 4.259
4.259 0.000 4.259
4.259 4.259 0.000
ATOMIC_POSITIONS crystal
Ni 0.000 0.000 0.000
Rb 0.250 0.250 0.250
Rb 0.750 0.750 0.750
F 0.773 0.773 0.227
F 0.227 0.227 0.773
F 0.773 0.227 0.227
F 0.773 0.227 0.773
F 0.227 0.773 0.773
F 0.227 0.773 0.227
Na 0.500 0.500 0.500
```



6.
The following is a PBE with a Hubbard U calculation of MnH20S2N2O14 after structural relaxation, from Materials Project. Values from VASP.

formation energy from the elements: -1.306 eV/atom
E_tot: -5.41 eV/atom
symmetry: P2_1/c, No. 14
crystal system: monoclinic
V: 9.28 A^3/atom

The structure in Quantum ESPRESSO input format:
```
&SYSTEM
  ibrav = 0, nat = 78, ntyp = 5
/
ATOMIC_SPECIES
O 16.00 O.upf
H 1.01 H.upf
N 14.01 N.upf
S 32.06 S.upf
Mn 54.94 Mn.upf
CELL_PARAMETERS angstrom
4.204 2.960 -3.789
-6.585 -3.608 -5.573
-6.677 10.708 0.957
ATOMIC_POSITIONS crystal
O 0.882 0.716 0.938
O 0.118 0.784 0.438
O 0.193 0.505 0.427
O 0.084 0.921 0.278
O 0.472 0.667 0.619
O 0.559 0.110 0.674
O 0.717 0.447 0.930
O 0.528 0.333 0.381
O 0.559 0.610 0.826
O 0.331 0.316 0.607
O 0.717 0.947 0.570
O 0.283 0.553 0.070
O 0.916 0.079 0.722
O 0.193 0.005 0.073
O 0.118 0.284 0.062
O 0.441 0.890 0.326
O 0.669 0.184 0.107
O 0.807 0.495 0.573
O 0.441 0.390 0.174
O 0.916 0.579 0.778
O 0.807 0.995 0.927
O 0.283 0.053 0.430
O 0.528 0.833 0.119
O 0.472 0.167 0.881
O 0.882 0.216 0.562
O 0.331 0.816 0.893
O 0.084 0.421 0.222
O 0.669 0.684 0.393
H 0.176 0.767 0.912
H 0.595 0.261 0.120
H 0.846 0.901 0.936
H 0.833 0.522 0.649
H 0.167 0.478 0.351
H 0.309 0.430 0.830
H 0.846 0.401 0.564
H 0.128 0.332 0.920
H 0.691 0.570 0.170
H 0.510 0.147 0.807
H 0.490 0.353 0.307
H 0.047 0.431 0.823
H 0.154 0.599 0.436
H 0.562 0.271 0.897
H 0.309 0.930 0.670
H 0.953 0.569 0.177
H 0.438 0.229 0.397
H 0.595 0.761 0.380
H 0.128 0.832 0.580
H 0.824 0.233 0.088
H 0.154 0.099 0.064
H 0.176 0.267 0.588
H 0.438 0.729 0.103
H 0.047 0.931 0.677
H 0.405 0.739 0.880
H 0.510 0.647 0.693
H 0.113 0.272 0.792
H 0.833 0.022 0.851
H 0.490 0.853 0.193
H 0.562 0.771 0.603
H 0.872 0.668 0.080
H 0.824 0.733 0.412
H 0.887 0.728 0.208
H 0.113 0.772 0.708
H 0.887 0.228 0.292
H 0.691 0.070 0.330
H 0.405 0.239 0.620
H 0.953 0.069 0.323
H 0.167 0.978 0.149
H 0.872 0.168 0.420
N 0.149 0.865 0.659
N 0.851 0.135 0.341
N 0.149 0.365 0.841
N 0.851 0.635 0.159
S 0.234 0.414 0.131
S 0.766 0.086 0.631
S 0.234 0.914 0.369
S 0.766 0.586 0.869
Mn 0.500 0.000 0.000
Mn 0.500 0.500 0.500
```



7.
The following is a PBE with a Hubbard U calculation of CaFe6O4F8 after structural relaxation, from Materials Project. Values from VASP.

formation energy from the elements: -2.218 eV/atom
E_tot: -5.79 eV/atom
symmetry: P1, No. 1
crystal system: triclinic
V: 12.47 A^3/atom
energy above the lowest structure with this stoichiometry: 2.18 eV/f.u.

The structure in Quantum ESPRESSO input format:
```
&SYSTEM
  ibrav = 0, nat = 19, ntyp = 4
/
ATOMIC_SPECIES
Fe 55.84 Fe.upf
F 19.00 F.upf
O 16.00 O.upf
Ca 40.08 Ca.upf
CELL_PARAMETERS angstrom
-4.934 4.933 3.398
-0.079 4.826 -3.356
-4.835 0.073 -3.365
ATOMIC_POSITIONS crystal
Fe 0.500 0.798 0.194
Fe 0.273 0.794 0.692
Fe 0.149 0.350 0.363
Fe 0.853 0.633 0.652
Fe 0.706 0.319 0.238
Fe 0.995 0.995 0.019
F 0.698 0.012 0.533
F 0.297 0.481 0.973
F 0.982 0.247 0.217
F 0.372 0.461 0.426
F 0.686 0.081 0.056
F 0.003 0.783 0.770
F 0.316 0.963 0.923
F 0.661 0.541 0.494
O 0.325 0.028 0.377
O 0.668 0.614 0.962
O 0.007 0.691 0.314
O 0.004 0.295 0.702
Ca 0.506 0.237 0.773
```



8.
The following is a PBE with a Hubbard U calculation of LiCo2C2O7 after structural relaxation, from Materials Project. Values from VASP.

formation energy from the elements: -1.686 eV/atom
E_tot: -6.78 eV/atom
symmetry: P2_1/c, No. 14
crystal system: monoclinic
V: 12.14 A^3/atom
energy above the lowest structure with this stoichiometry: 0.04 eV/f.u.

The structure in Quantum ESPRESSO input format:
```
&SYSTEM
  ibrav = 0, nat = 48, ntyp = 4
/
ATOMIC_SPECIES
O 16.00 O.upf
Co 58.93 Co.upf
C 12.01 C.upf
Li 6.94 Li.upf
CELL_PARAMETERS angstrom
6.311 0.000 0.000
0.000 9.684 0.000
0.000 2.874 9.531
ATOMIC_POSITIONS crystal
O 0.697 0.644 0.826
O 0.831 0.355 0.322
O 0.012 0.152 0.335
O 0.669 0.355 0.822
O 0.222 0.416 0.943
O 0.710 0.813 0.433
O 0.512 0.848 0.165
O 0.836 0.997 0.163
O 0.778 0.584 0.057
O 0.803 0.644 0.326
O 0.164 0.003 0.837
O 0.169 0.645 0.678
O 0.488 0.152 0.835
O 0.655 0.153 0.329
O 0.210 0.187 0.067
O 0.988 0.848 0.665
O 0.845 0.153 0.829
O 0.336 0.003 0.337
O 0.331 0.645 0.178
O 0.197 0.356 0.674
O 0.345 0.847 0.671
O 0.155 0.847 0.171
O 0.278 0.416 0.443
O 0.303 0.356 0.174
O 0.722 0.584 0.557
O 0.664 0.997 0.663
O 0.790 0.813 0.933
O 0.290 0.187 0.567
Co 0.159 0.202 0.861
Co 0.341 0.202 0.361
Co 0.401 0.020 0.728
Co 0.901 0.980 0.772
Co 0.659 0.798 0.639
Co 0.599 0.980 0.272
Co 0.099 0.020 0.228
Co 0.841 0.798 0.139
C 0.835 0.224 0.327
C 0.755 0.676 0.937
C 0.165 0.776 0.673
C 0.665 0.224 0.827
C 0.245 0.324 0.063
C 0.335 0.776 0.173
C 0.255 0.324 0.563
C 0.745 0.676 0.437
Li 0.901 0.507 0.727
Li 0.099 0.493 0.273
Li 0.599 0.507 0.227
Li 0.401 0.493 0.773
```